No. 1
{"formula": "NaGeAu3", "functional": "PBE", "state": "relaxed", "cell": [[-3.7242, -4.7377, -6.9581], [6.7355, -6.2408, 0.6442], [-5.0491, -4.8308, 5.9916]], "species": ["Na", "Na", "Na", "Na", "Na", "Na", "Na", "Na", "Ge", "Ge", "Ge", "Ge", "Ge", "Ge", "Ge", "Ge", "Au", "Au", "Au", "Au", "Au", "Au", "Au", "Au", "Au", "Au", "Au", "Au", "Au", "Au", "Au", "Au", "Au", "Au", "Au", "Au", "Au", "Au", "Au", "Au"], "frac_coords": [[0.0990, 0.0990, 0.0990], [0.4010, 0.9010, 0.5990], [0.5990, 0.4010, 0.9010], [0.9010, 0.5990, 0.4010], [0.9010, 0.9010, 0.9010], [0.5990, 0.0990, 0.4010], [0.4010, 0.5990, 0.0990], [0.0990, 0.4010, 0.5990], [0.1125, 0.8875, 0.3875], [0.8875, 0.3875, 0.1125], [0.6125, 0.6125, 0.6125], [0.6125, 0.8875, 0.1125], [0.8875, 0.1125, 0.6125], [0.1125, 0.6125, 0.8875], [0.3875, 0.3875, 0.3875], [0.3875, 0.1125, 0.8875], [0.5909, 0.7315, 0.3611], [0.7315, 0.3611, 0.5909], [0.7685, 0.6389, 0.0909], [0.2685, 0.8611, 0.9091], [0.6389, 0.0909, 0.7685], [0.5909, 0.7685, 0.8611], [0.8611, 0.5909, 0.7685], [0.6389, 0.4091, 0.2685], [0.0909, 0.7315, 0.1389], [0.1389, 0.0909, 0.7315], [0.9091, 0.2315, 0.3611], [0.4091, 0.2685, 0.6389], [0.3611, 0.9091, 0.2315], [0.2685, 0.6389, 0.4091], [0.2315, 0.3611, 0.9091], [0.7315, 0.1389, 0.0909], [0.0909, 0.7685, 0.6389], [0.8611, 0.9091, 0.2685], [0.9091, 0.2685, 0.8611], [0.3611, 0.5909, 0.7315], [0.1389, 0.4091, 0.2315], [0.4091, 0.2315, 0.1389], [0.2315, 0.1389, 0.4091], [0.7685, 0.8611, 0.5909]], "volume_a3_per_atom": 19.50, "sg": "Pa-3, No. 205", "delta_e_f_kj_per_mol_atoms": -24, "total_energy_ry_per_atom": -0.2498}



No. 2
{"formula": "BaZnP2O7", "functional": "PBE", "state": "relaxed", "cell": [[5.3806, 0.0000, 0.0000], [-0.5301, 7.5758, 0.0000], [-0.4181, -1.7270, 7.4769]], "species": ["Ba", "Ba", "Zn", "Zn", "P", "P", "P", "P", "O", "O", "O", "O", "O", "O", "O", "O", "O", "O", "O", "O", "O", "O"], "frac_coords": [[0.8002, 0.7203, 0.5655], [0.1998, 0.2797, 0.4345], [0.7978, 0.8896, 0.1061], [0.2022, 0.1104, 0.8939], [0.7047, 0.3056, 0.1039], [0.2953, 0.6944, 0.8961], [0.2983, 0.7676, 0.2818], [0.7017, 0.2324, 0.7182], [0.7887, 0.4664, 0.2523], [0.2113, 0.5336, 0.7477], [0.5700, 0.7684, 0.8941], [0.4300, 0.2316, 0.1059], [0.2955, 0.6499, 0.4184], [0.7045, 0.3501, 0.5816], [0.7315, 0.3676, 0.9158], [0.2685, 0.6324, 0.0842], [0.4528, 0.1154, 0.7032], [0.5472, 0.8846, 0.2968], [0.9278, 0.1154, 0.7040], [0.0722, 0.8846, 0.2960], [0.1152, 0.8489, 0.9026], [0.8848, 0.1511, 0.0974]], "volume_a3_per_atom": 13.85, "sg": "P-1, No. 2", "delta_e_f_kj_per_mol_atoms": -274, "m_tot_mub_per_fu": 0.001, "total_energy_ry_per_atom": -0.5015}



No. 3
{"formula": "LiHoSn", "functional": "PBE", "state": "relaxed", "cell": [[4.6786, -8.1036, 0.0000], [4.6786, 8.1036, 0.0000], [0.0000, 0.0000, 7.2950]], "species": ["Li", "Li", "Li", "Li", "Li", "Li", "Li", "Li", "Ho", "Ho", "Ho", "Ho", "Ho", "Ho", "Ho", "Ho", "Sn", "Sn", "Sn", "Sn", "Sn", "Sn", "Sn", "Sn"], "frac_coords": [[0.1659, 0.3317, 0.2886], [0.1659, 0.8341, 0.2886], [0.6683, 0.8341, 0.2886], [0.8341, 0.6683, 0.7886], [0.8341, 0.1659, 0.7886], [0.3317, 0.1659, 0.7886], [0.3333, 0.6667, 0.6598], [0.6667, 0.3333, 0.1598], [0.5134, 0.0269, 0.4950], [0.5134, 0.4866, 0.4950], [0.9731, 0.4866, 0.4950], [0.4866, 0.9731, 0.9950], [0.4866, 0.5134, 0.9950], [0.0269, 0.5134, 0.9950], [0.0000, 0.0000, 0.5023], [0.0000, 0.0000, 0.0023], [0.1669, 0.3337, 0.7309], [0.1669, 0.8331, 0.7309], [0.6663, 0.8331, 0.7309], [0.8331, 0.6663, 0.2309], [0.8331, 0.1669, 0.2309], [0.3337, 0.1669, 0.2309], [0.3333, 0.6667, 0.2654], [0.6667, 0.3333, 0.7654]], "volume_a3_per_atom": 23.05, "sg": "P6_3mc, No. 186", "delta_e_f_kj_per_mol_atoms": -62, "total_energy_ry_per_atom": -0.3045}



No. 4
{"formula": "TiSCl6O", "functional": "PBE", "state": "relaxed", "cell": [[-0.0065, -2.6770, -6.0678], [7.4950, 1.5873, 2.8915], [-3.6083, -9.6111, 4.5400]], "species": ["Ti", "Ti", "S", "S", "Cl", "Cl", "Cl", "Cl", "Cl", "Cl", "Cl", "Cl", "Cl", "Cl", "Cl", "Cl", "O", "O"], "frac_coords": [[0.9304, 0.7672, 0.8576], [0.0696, 0.2328, 0.1424], [0.3545, 0.0236, 0.2999], [0.6455, 0.9764, 0.7001], [0.6123, 0.5013, 0.8076], [0.0608, 0.8262, 0.3269], [0.4532, 0.2290, 0.4834], [0.8053, 0.8909, 0.0601], [0.5468, 0.7710, 0.5166], [0.9658, 0.2654, 0.3332], [0.3877, 0.4987, 0.1924], [0.0342, 0.7346, 0.6668], [0.1947, 0.1091, 0.9399], [0.8422, 0.3193, 0.0611], [0.9392, 0.1738, 0.6731], [0.1578, 0.6807, 0.9389], [0.7036, 0.8948, 0.7868], [0.2964, 0.1052, 0.2132]], "volume_a3_per_atom": 28.95, "sg": "P-1, No. 2", "delta_e_f_kj_per_mol_atoms": -116, "polymorph_energy_mev_per_atom": 1.3, "m_tot_mub_per_fu": 0.000, "total_energy_ry_per_atom": -0.3119}



No. 5
{"formula": "Y2Fe17CN", "functional": "PBE", "state": "relaxed", "cell": [[4.3335, 2.5037, 4.1543], [-4.2837, 2.4440, 4.1386], [-0.0271, -4.9579, 4.1524]], "species": ["Y", "Y", "Fe", "Fe", "Fe", "Fe", "Fe", "Fe", "Fe", "Fe", "Fe", "Fe", "Fe", "Fe", "Fe", "Fe", "Fe", "Fe", "Fe", "C", "N"], "frac_coords": [[0.6600, 0.6615, 0.6522], [0.3400, 0.3385, 0.3478], [0.3409, 0.3458, 0.8535], [0.3414, 0.8511, 0.3442], [0.8529, 0.3447, 0.3430], [0.6591, 0.6542, 0.1465], [0.6586, 0.1489, 0.6558], [0.1471, 0.6553, 0.6570], [0.9045, 0.9040, 0.9047], [0.0955, 0.0960, 0.0953], [0.0000, 0.0000, 0.5000], [0.0000, 0.5000, 0.0000], [0.5000, 0.0000, 0.0000], [0.2852, 0.7130, 0.0023], [0.7168, 0.0008, 0.2827], [0.9981, 0.2916, 0.7106], [0.2832, 0.9992, 0.7173], [0.0019, 0.7084, 0.2894], [0.7148, 0.2870, 0.9977], [0.5000, 0.5000, 0.0000], [0.5000, 0.0000, 0.5000]], "volume_a3_per_atom": 12.65, "sg": "P-1, No. 2", "delta_e_f_kj_per_mol_atoms": -12, "m_tot_mub_per_fu": 37.160, "total_energy_ry_per_atom": -0.6189}



No. 6
{"formula": "HfCrAgS4", "functional": "PBE", "state": "relaxed", "cell": [[5.6074, 2.1949, -2.7195], [-2.3711, 7.2972, 0.9178], [5.1931, -1.7193, 11.6396]], "species": ["Hf", "Hf", "Hf", "Hf", "Cr", "Cr", "Cr", "Cr", "Ag", "Ag", "Ag", "Ag", "S", "S", "S", "S", "S", "S", "S", "S", "S", "S", "S", "S", "S", "S", "S", "S"], "frac_coords": [[0.1454, 0.7054, 0.3060], [0.7588, 0.1256, 0.9998], [0.2410, 0.8843, 0.0002], [0.3657, 0.5494, 0.6967], [0.8460, 0.2941, 0.7029], [0.6410, 0.4460, 0.2959], [0.6345, 0.9536, 0.2965], [0.3751, 0.0545, 0.7013], [0.8660, 0.8009, 0.6965], [0.1200, 0.2018, 0.3069], [0.7484, 0.6154, 0.9997], [0.2563, 0.3642, 0.0001], [0.8824, 0.3299, 0.8778], [0.1260, 0.6661, 0.1182], [0.9074, 0.8593, 0.8972], [0.0903, 0.1413, 0.1062], [0.7655, 0.2152, 0.3608], [0.2166, 0.7936, 0.6245], [0.7962, 0.7144, 0.3607], [0.1708, 0.2768, 0.6413], [0.6761, 0.0581, 0.6347], [0.3340, 0.9640, 0.3749], [0.6946, 0.5152, 0.6276], [0.3346, 0.4699, 0.3691], [0.5854, 0.9268, 0.1142], [0.4189, 0.0746, 0.8844], [0.6217, 0.3918, 0.1201], [0.3813, 0.6080, 0.8859]], "volume_a3_per_atom": 23.15, "sg": "P1, No. 1", "delta_e_f_kj_per_mol_atoms": -98, "polymorph_energy_mev_per_atom": 221.5, "m_tot_mub_per_fu": 3.002, "total_energy_ry_per_atom": -0.4625}



No. 7
{"formula": "Y3Al3NiGe2", "functional": "PBE", "state": "relaxed", "cell": [[0.0000, 0.0000, -4.1847], [-3.4806, -6.0286, 0.0000], [-3.4806, 6.0286, 0.0000]], "species": ["Y", "Y", "Y", "Al", "Al", "Al", "Ni", "Ge", "Ge"], "frac_coords": [[0.0000, 0.4040, 0.0000], [0.0000, 0.5960, 0.5960], [0.0000, 0.0000, 0.4040], [0.5000, 0.0000, 0.7726], [0.5000, 0.2274, 0.2274], [0.5000, 0.7726, 0.0000], [0.0000, 0.0000, 0.0000], [0.5000, 0.6667, 0.3333], [0.5000, 0.3333, 0.6667]], "volume_a3_per_atom": 19.51, "sg": "P-62m, No. 189", "delta_e_f_kj_per_mol_atoms": -72, "total_energy_ry_per_atom": -0.4279}



No. 8
{"formula": "CrN2", "functional": "PBE", "state": "relaxed", "cell": [[0.0000, 8.1534, 8.1534], [8.1534, 0.0000, 8.1534], [8.1534, 8.1534, 0.0000]], "species": ["Cr", "Cr", "Cr", "Cr", "Cr", "Cr", "Cr", "Cr", "N", "N", "N", "N", "N", "N", "N", "N", "N", "N", "N", "N", "N", "N", "N", "N"], "frac_coords": [[0.5641, 0.3077, 0.5641], [0.5641, 0.5641, 0.5641], [0.3077, 0.5641, 0.5641], [0.5641, 0.5641, 0.3077], [0.6859, 0.9423, 0.6859], [0.6859, 0.6859, 0.6859], [0.9423, 0.6859, 0.6859], [0.6859, 0.6859, 0.9423], [0.3782, 0.6218, 0.6218], [0.3782, 0.3782, 0.6218], [0.6218, 0.3782, 0.6218], [0.6218, 0.6218, 0.3782], [0.3782, 0.6218, 0.3782], [0.6218, 0.3782, 0.3782], [0.8718, 0.6282, 0.6282], [0.8718, 0.8718, 0.6282], [0.6282, 0.8718, 0.6282], [0.6282, 0.6282, 0.8718], [0.8718, 0.6282, 0.8718], [0.6282, 0.8718, 0.8718], [0.6250, 0.1250, 0.6250], [0.6250, 0.6250, 0.6250], [0.1250, 0.6250, 0.6250], [0.6250, 0.6250, 0.1250]], "volume_a3_per_atom": 45.17, "sg": "Fd-3m, No. 227", "delta_e_f_kj_per_mol_atoms": 8, "m_tot_mub_per_fu": 0.000, "total_energy_ry_per_atom": -0.6214}